VASP calculation (PBE-GGA) on La5FePb3 after structural relaxation.

Calculated values
**Spin magnetization**: 1.0 μB per formula unit
**E_tot**: -5.3253 eV/atom

POSCAR file:
```
La5FePb3
1.0
9.675 0.000 0.000
-4.837 8.379 0.000
0.000 0.000 7.178
La Fe Pb
10 2 6
Cartesian
-1.116 1.932 1.795
-3.722 6.446 5.384
2.231 0.000 1.795
1.116 1.932 5.384
0.000 5.586 0.000
0.000 5.586 3.589
4.837 2.793 0.000
4.837 2.793 3.589
7.444 0.000 5.384
3.722 6.446 1.795
0.000 0.000 0.000
0.000 0.000 3.589
-1.946 3.371 5.384
-2.891 5.008 1.795
3.892 0.000 5.384
1.946 3.371 1.795
5.783 0.000 1.795
2.891 5.008 5.384
```

VASP calculation (PBE-GGA) on LaFeSi2Rh after structural relaxation.

Calculated values
**Spin magnetization**: 0.0 μB per formula unit
**E_tot**: -7.1618 eV/atom

POSCAR file:
```
LaFeSi2Rh
1.0
-2.057 2.057 5.064
2.057 -2.057 5.064
2.057 2.057 -5.064
La Fe Si Rh
1 1 2 1
Cartesian
0.000 0.000 0.000
2.057 0.000 2.532
0.000 0.000 3.700
0.000 0.000 6.429
0.000 2.057 2.532
```

What is the E_tot in the second record?
-7.1618 eV/atom